Arrangement i

This record from the Materials Project database describes LiVF5 after structural relaxation. The functional is PBE+U.

The value obtained for the theoretical density is 2.54 Mg/m³.

abc: 5.477 5.662 7.382
angles: 104.77 99.49 110.17
Sites, in units of the cell vectors:
Li (0.174, 0.301, 0.232)
Li (0.826, 0.699, 0.768)
V (0.500, 0.000, 0.000)
V (0.500, 0.000, 0.500)
F (0.132, 0.808, 0.974)
F (0.229, 0.661, 0.379)
F (0.265, 0.156, 0.421)
F (0.386, 0.022, 0.738)
F (0.476, 0.316, 0.119)
F (0.524, 0.684, 0.881)
F (0.614, 0.978, 0.262)
F (0.735, 0.844, 0.579)
F (0.771, 0.339, 0.621)
F (0.868, 0.192, 0.026)

---

Arrangement ii

This record from the Materials Project database describes LiVF5 after structural relaxation. The functional is PBE+U.

The value obtained for the theoretical density is 2.95 Mg/m³.

abc: 10.634 10.634 10.634
angles: 95.84 95.84 142.80
Sites, in units of the cell vectors:
Li (0.139, 0.860, 0.051)
Li (0.308, 0.088, 0.449)
Li (0.360, 0.808, 0.720)
Li (0.412, 0.361, 0.220)
Li (0.588, 0.639, 0.780)
Li (0.640, 0.192, 0.280)
Li (0.692, 0.912, 0.551)
Li (0.861, 0.140, 0.949)
V (0.174, 0.320, 0.458)
V (0.180, 0.139, 0.854)
V (0.216, 0.674, 0.354)
V (0.361, 0.716, 0.042)
V (0.639, 0.284, 0.958)
V (0.784, 0.326, 0.646)
V (0.820, 0.861, 0.146)
V (0.826, 0.680, 0.542)
F (0.012, 0.797, 0.444)
F (0.068, 0.512, 0.714)
F (0.086, 0.968, 0.678)
F (0.091, 0.924, 0.907)
F (0.091, 0.997, 0.180)
F (0.092, 0.414, 0.383)
F (0.147, 0.432, 0.944)
F (0.209, 0.592, 0.178)
F (0.218, 0.747, 0.995)
F (0.247, 0.752, 0.529)
F (0.252, 0.223, 0.505)
F (0.277, 0.282, 0.029)
F (0.297, 0.353, 0.786)
F (0.317, 0.409, 0.333)
F (0.317, 0.911, 0.320)
F (0.411, 0.591, 0.594)
F (0.424, 0.017, 0.833)
F (0.468, 0.291, 0.883)
F (0.483, 0.817, 0.407)
F (0.497, 0.817, 0.906)
F (0.503, 0.183, 0.094)
F (0.517, 0.183, 0.593)
F (0.532, 0.709, 0.117)
F (0.576, 0.983, 0.167)
F (0.589, 0.409, 0.406)
F (0.683, 0.089, 0.680)
F (0.683, 0.591, 0.667)
F (0.703, 0.647, 0.214)
F (0.723, 0.718, 0.971)
F (0.748, 0.777, 0.495)
F (0.753, 0.248, 0.471)
F (0.782, 0.253, 0.005)
F (0.791, 0.408, 0.822)
F (0.853, 0.568, 0.056)
F (0.908, 0.586, 0.617)
F (0.909, 0.003, 0.820)
F (0.909, 0.076, 0.093)
F (0.914, 0.032, 0.322)
F (0.932, 0.488, 0.286)
F (0.988, 0.203, 0.556)

---

Arrangement iii

This record from the Materials Project database describes LiVF5 after structural relaxation. The functional is PBE+U.

The value obtained for the theoretical density is 2.49 Mg/m³.

abc: 7.484 5.219 10.459
angles: 90.00 90.00 90.00
Sites, in units of the cell vectors:
Li (0.140, 0.182, 0.000)
Li (0.360, 0.682, 0.500)
Li (0.640, 0.318, 0.000)
Li (0.860, 0.818, 0.500)
V (0.118, 0.726, 0.250)
V (0.382, 0.226, 0.750)
V (0.618, 0.774, 0.250)
V (0.882, 0.274, 0.750)
F (0.058, 0.939, 0.384)
F (0.062, 0.968, 0.129)
F (0.137, 0.376, 0.751)
F (0.162, 0.489, 0.123)
F (0.186, 0.511, 0.383)
F (0.314, 0.011, 0.883)
F (0.338, 0.989, 0.623)
F (0.363, 0.876, 0.251)
F (0.438, 0.468, 0.629)
F (0.442, 0.439, 0.884)
F (0.558, 0.561, 0.384)
F (0.562, 0.532, 0.129)
F (0.637, 0.124, 0.751)
F (0.662, 0.011, 0.123)
F (0.686, 0.989, 0.383)
F (0.814, 0.489, 0.883)
F (0.838, 0.511, 0.623)
F (0.863, 0.624, 0.251)
F (0.938, 0.032, 0.629)
F (0.942, 0.061, 0.884)

---

Stability comparison, relative energies in meV/atom: arrangement i 0; arrangement ii 10; arrangement iii 41